! GGA-PBE P, optimized geometry; values from VASP
&SYSTEM
  ibrav = 0, nat = 4, ntyp = 1
/
ATOMIC_SPECIES
P 30.97 P.upf
ATOMIC_POSITIONS crystal
P 0.000 0.250 0.051
P 0.000 0.750 0.949
P 0.500 0.250 0.449
P 0.500 0.750 0.551
CELL_PARAMETERS angstrom
3.427 0.000 0.000
0.000 5.042 0.000
0.000 0.000 3.722
! Spin magnetization (μB per atom): 0.000

The following is a GGA-PBE calculation of crystalline HoNi at its relaxed geometry, from the Materials Project database. Values from VASP.

```
&SYSTEM
  ibrav = 0, nat = 8, ntyp = 2
/
ATOMIC_SPECIES
Ho 164.93 Ho.upf
Ni 58.69 Ni.upf
ATOMIC_POSITIONS crystal
Ho 0.180 0.250 0.133
Ho 0.320 0.750 0.633
Ho 0.680 0.250 0.367
Ho 0.820 0.750 0.867
Ni 0.037 0.250 0.627
Ni 0.463 0.750 0.127
Ni 0.537 0.250 0.873
Ni 0.963 0.750 0.373
CELL_PARAMETERS angstrom
7.005 0.000 0.000
0.000 4.148 0.000
0.000 0.000 5.403
```

! GGA-PBE K2SO4, optimized geometry; values from VASP
&SYSTEM
  ibrav = 0, nat = 28, ntyp = 3
/
ATOMIC_SPECIES
K 39.10 K.upf
S 32.06 S.upf
O 16.00 O.upf
ATOMIC_POSITIONS crystal
K 0.008 0.250 0.203
K 0.174 0.750 0.414
K 0.326 0.250 0.914
K 0.492 0.750 0.703
K 0.508 0.250 0.297
K 0.674 0.750 0.086
K 0.826 0.250 0.586
K 0.992 0.750 0.797
S 0.231 0.750 0.081
S 0.269 0.250 0.581
S 0.731 0.750 0.419
S 0.769 0.250 0.919
O 0.035 0.750 0.081
O 0.200 0.250 0.444
O 0.202 0.042 0.649
O 0.202 0.458 0.649
O 0.298 0.542 0.149
O 0.298 0.958 0.149
O 0.300 0.750 0.944
O 0.465 0.250 0.581
O 0.535 0.750 0.419
O 0.700 0.250 0.056
O 0.702 0.042 0.851
O 0.702 0.458 0.851
O 0.798 0.542 0.351
O 0.798 0.958 0.351
O 0.800 0.750 0.556
O 0.965 0.250 0.919
CELL_PARAMETERS angstrom
7.596 0.000 0.000
0.000 5.868 0.000
0.000 0.000 10.259
! Energy with MP2020 corrections (eV/f.u.): -42.1

! GGA-PBE KHfZrBiO6, optimized geometry; values from VASP
&SYSTEM
  ibrav = 0, nat = 10, ntyp = 5
/
ATOMIC_SPECIES
K 39.10 K.upf
Hf 178.49 Hf.upf
Zr 91.22 Zr.upf
Bi 208.98 Bi.upf
O 16.00 O.upf
ATOMIC_POSITIONS crystal
K 0.000 0.000 0.000
Hf 0.250 0.250 0.250
Zr 0.750 0.750 0.750
Bi 0.500 0.500 0.500
O 0.002 0.002 0.498
O 0.002 0.498 0.002
O 0.002 0.498 0.498
O 0.498 0.002 0.002
O 0.498 0.002 0.498
O 0.498 0.498 0.002
CELL_PARAMETERS angstrom
0.000 4.158 4.158
4.158 0.000 4.158
4.158 4.158 0.000
! Spin magnetization (μB per atom): 0.000
! Energy with MP2020 corrections (eV/f.u.): -81.9

! GGA-PBE Sm2HgO4, optimized geometry; values from VASP
&SYSTEM
  ibrav = 0, nat = 14, ntyp = 3
/
ATOMIC_SPECIES
Sm 150.36 Sm.upf
Hg 200.59 Hg.upf
O 16.00 O.upf
ATOMIC_POSITIONS crystal
Sm 0.120 0.120 0.460
Sm 0.341 0.341 0.202
Sm 0.659 0.659 0.798
Sm 0.880 0.880 0.540
Hg 0.386 0.386 0.838
Hg 0.614 0.614 0.162
O 0.082 0.082 0.653
O 0.270 0.270 0.389
O 0.297 0.297 0.944
O 0.464 0.464 0.719
O 0.536 0.536 0.281
O 0.703 0.703 0.056
O 0.730 0.730 0.611
O 0.918 0.918 0.347
CELL_PARAMETERS angstrom
6.936 -1.888 0.000
6.936 1.888 0.000
-5.357 0.000 8.746
! Energy with MP2020 corrections (eV/f.u.): -50.4

! GGA-PBE Eu3TaO6, optimized geometry; values from VASP
&SYSTEM
  ibrav = 0, nat = 10, ntyp = 3
/
ATOMIC_SPECIES
Eu 151.96 Eu.upf
Ta 180.95 Ta.upf
O 16.00 O.upf
ATOMIC_POSITIONS crystal
Eu 0.000 0.000 0.000
Eu 0.250 0.250 0.250
Eu 0.750 0.750 0.750
Ta 0.500 0.500 0.500
O 0.266 0.266 0.734
O 0.266 0.734 0.266
O 0.266 0.734 0.734
O 0.734 0.266 0.266
O 0.734 0.266 0.734
O 0.734 0.734 0.266
CELL_PARAMETERS angstrom
0.000 4.253 4.253
4.253 0.000 4.253
4.253 4.253 0.000
! Spin magnetization (μB per atom): 2.001
! Energy with MP2020 corrections (eV/f.u.): -104.8

! GGA-PBE HfMg6BO7, optimized geometry; values from VASP
&SYSTEM
  ibrav = 0, nat = 15, ntyp = 4
/
ATOMIC_SPECIES
Hf 178.49 Hf.upf
Mg 24.30 Mg.upf
B 10.81 B.upf
O 16.00 O.upf
ATOMIC_POSITIONS crystal
Hf 0.000 0.000 0.000
Mg 0.000 0.500 0.276
Mg 0.000 0.500 0.732
Mg 0.500 0.000 0.276
Mg 0.500 0.000 0.732
Mg 0.500 0.500 0.001
Mg 0.500 0.500 0.503
B 0.000 0.000 0.550
O 0.000 0.000 0.236
O 0.000 0.500 0.010
O 0.000 0.500 0.504
O 0.500 0.000 0.010
O 0.500 0.000 0.504
O 0.500 0.500 0.256
O 0.500 0.500 0.753
CELL_PARAMETERS angstrom
4.296 0.000 0.000
0.000 4.296 0.000
0.000 0.000 8.896
! Spin magnetization (μB per atom): 0.066
! Energy with MP2020 corrections (eV/f.u.): -94.6

! GGA-PBE SrNi10P6, optimized geometry; values from VASP
&SYSTEM
  ibrav = 0, nat = 68, ntyp = 3
/
ATOMIC_SPECIES
Sr 87.62 Sr.upf
Ni 58.69 Ni.upf
P 30.97 P.upf
ATOMIC_POSITIONS crystal
Sr 0.249 0.250 0.016
Sr 0.251 0.750 0.516
Sr 0.749 0.250 0.484
Sr 0.751 0.750 0.984
Ni 0.039 0.750 0.307
Ni 0.052 0.250 0.222
Ni 0.076 0.552 0.047
Ni 0.076 0.948 0.047
Ni 0.077 0.050 0.485
Ni 0.077 0.450 0.485
Ni 0.084 0.501 0.766
Ni 0.084 0.999 0.766
Ni 0.206 0.250 0.394
Ni 0.207 0.750 0.133
Ni 0.293 0.250 0.633
Ni 0.294 0.750 0.894
Ni 0.416 0.001 0.266
Ni 0.416 0.499 0.266
Ni 0.423 0.550 0.985
Ni 0.423 0.950 0.985
Ni 0.424 0.052 0.547
Ni 0.424 0.448 0.547
Ni 0.448 0.750 0.722
Ni 0.461 0.250 0.807
Ni 0.539 0.750 0.193
Ni 0.552 0.250 0.278
Ni 0.576 0.552 0.453
Ni 0.576 0.948 0.453
Ni 0.577 0.050 0.015
Ni 0.577 0.450 0.015
Ni 0.584 0.501 0.734
Ni 0.584 0.999 0.734
Ni 0.706 0.250 0.106
Ni 0.707 0.750 0.367
Ni 0.793 0.250 0.867
Ni 0.794 0.750 0.606
Ni 0.916 0.001 0.234
Ni 0.916 0.499 0.234
Ni 0.923 0.550 0.515
Ni 0.923 0.950 0.515
Ni 0.924 0.052 0.953
Ni 0.924 0.448 0.953
Ni 0.948 0.750 0.778
Ni 0.961 0.250 0.693
P 0.041 0.750 0.581
P 0.043 0.250 0.941
P 0.145 0.508 0.266
P 0.145 0.992 0.266
P 0.156 0.250 0.645
P 0.159 0.750 0.886
P 0.341 0.250 0.386
P 0.344 0.750 0.145
P 0.355 0.008 0.766
P 0.355 0.492 0.766
P 0.457 0.750 0.441
P 0.459 0.250 0.081
P 0.541 0.750 0.919
P 0.543 0.250 0.559
P 0.645 0.508 0.234
P 0.645 0.992 0.234
P 0.656 0.250 0.855
P 0.659 0.750 0.614
P 0.841 0.250 0.114
P 0.844 0.750 0.355
P 0.855 0.008 0.734
P 0.855 0.492 0.734
P 0.957 0.750 0.059
P 0.959 0.250 0.419
CELL_PARAMETERS angstrom
15.964 0.000 0.000
0.000 6.451 0.000
0.000 0.000 8.703
! Spin magnetization (μB per atom): 0.000

| no. | VASP energy (eV/f.u.) | energy of formation (eV/atom) |
| --- | --- | --- |
| 1 | -5.32 | 0.094 |
| 2 | -11.30 | -0.468 |
| 3 | -39.35 | -2.278 |
| 4 | -77.81 | -2.874 |
| 5 | -47.63 | -2.977 |
| 6 | -100.66 | -3.246 |
| 7 | -89.77 | -2.247 |
| 8 | -102.60 | -0.625 |